[1]
A relaxed structure of Li2VFeP4O14. Source: the Materials Project, functional PBE with a Hubbard U.

a b c (Å): 7.1527 9.5864 9.5869
angles (deg): 118.77 100.71 100.69
Closest atoms and distances in Å follow each position.
Atoms (fractional coordinates):
Li 0.0000 0.0000 0.0000  4 O 2.00-2.08
Li 0.0000 0.5004 0.5002  4 O 2.00-2.07
Li 0.6465 0.2494 0.7494  4 O 2.01-2.08
Li 0.6476 0.7503 0.2501  4 O 1.99-2.09
V 0.0521 0.3244 0.6883  6 O 2.00-2.08
V 0.5950 0.0616 0.9253  6 O 1.99-2.08
Fe 0.0557 0.8260 0.1897  6 O 1.97-2.08
Fe 0.5915 0.5606 0.4245  6 O 1.98-2.09
P 0.2377 0.0234 0.6026  4 O 1.52-1.63
P 0.2383 0.5235 0.1033  4 O 1.52-1.62
P 0.4090 0.1470 0.2266  4 O 1.52-1.63
P 0.4092 0.6472 0.7263  4 O 1.52-1.63
P 0.8019 0.0973 0.2805  4 O 1.53-1.62
P 0.8019 0.5983 0.7802  4 O 1.53-1.62
P 0.8447 0.9689 0.6517  4 O 1.53-1.62
P 0.8456 0.4703 0.1529  4 O 1.53-1.62
O 0.0773 0.4743 0.1845  2 P 1.62
O 0.0769 0.9742 0.6842  2 P 1.62-1.63
O 0.1764 0.3808 0.9211  1 P 1.52
O 0.1758 0.8813 0.4195  1 P 1.52
O 0.2076 0.0412 0.2106  1 P 1.53
O 0.2083 0.5437 0.7105  1 P 1.52
O 0.2405 0.6925 0.1228  1 P 1.54
O 0.2408 0.1925 0.6216  1 P 1.54
O 0.4049 0.1277 0.0575  1 P 1.53
O 0.4078 0.6279 0.5575  1 P 1.54
O 0.4385 0.0391 0.7063  1 P 1.52
O 0.4397 0.5394 0.2086  1 P 1.53
O 0.4700 0.3296 0.3685  1 P 1.52
O 0.4721 0.8298 0.8694  1 P 1.52
O 0.5698 0.0656 0.2758  2 P 1.62-1.63
O 0.5701 0.5656 0.7755  2 P 1.62-1.63
O 0.7177 0.8032 0.4881  1 P 1.53
O 0.7186 0.3044 0.9886  1 P 1.53
O 0.8058 0.4848 0.3101  1 P 1.53
O 0.8059 0.9846 0.8100  1 P 1.54
O 0.8155 0.6106 0.6283  1 P 1.54
O 0.8179 0.1109 0.1303  1 P 1.53
O 0.8293 0.1200 0.6393  1 P 1.53
O 0.8314 0.6214 0.1391  1 P 1.54
O 0.8412 0.4402 0.7648  1 P 1.54
O 0.8413 0.9397 0.2657  1 P 1.53
O 0.9286 0.2616 0.4464  1 P 1.54
O 0.9292 0.7617 0.9460  1 P 1.53

Summary:
magnetic moment: 0.3182 μB/atom
ΔE_f: -2.629 eV per atom

***

[2]
A relaxed structure of LiVFeP4O14. Source: the Materials Project, functional PBE with a Hubbard U.

a b c (Å): 8.0923 9.7621 13.3247
angles (deg): 91.95 90.14 90.00
Closest atoms and distances in Å follow each position.
Atoms (fractional coordinates):
Li 0.0000 0.0000 0.0000  4 O 1.96-2.11
Li 0.0001 0.2502 0.4996  4 O 1.96-2.12
Li 0.4971 0.5874 0.8281  4 O 1.95-2.07
Li 0.4965 0.8373 0.3284  4 O 1.95-2.07
V 0.6304 0.2446 0.5242  6 O 1.91-2.01
V 0.6317 0.9961 0.0248  6 O 1.89-2.01
V 0.6419 0.4905 0.0266  6 O 1.90-2.04
V 0.6436 0.7419 0.5274  6 O 1.90-2.04
Fe 0.1293 0.5917 0.8014  6 O 1.99-2.11
Fe 0.1301 0.8401 0.3009  6 O 1.98-2.12
Fe 0.1452 0.3457 0.2963  6 O 1.97-2.12
Fe 0.1463 0.0942 0.7958  6 O 1.99-2.13
P 0.3133 0.3486 0.9233  4 O 1.51-1.63
P 0.3134 0.5991 0.4237  4 O 1.51-1.63
P 0.3162 0.0967 0.4250  4 O 1.52-1.62
P 0.3163 0.8471 0.9255  4 O 1.52-1.63
P 0.4194 0.2572 0.1203  4 O 1.51-1.61
P 0.4193 0.5071 0.6194  4 O 1.52-1.60
P 0.4212 0.0038 0.6201  4 O 1.50-1.62
P 0.4215 0.7538 0.1191  4 O 1.52-1.61
P 0.8143 0.2352 0.9032  4 O 1.52-1.61
P 0.8142 0.4855 0.4034  4 O 1.53-1.60
P 0.8174 0.7393 0.9023  4 O 1.51-1.61
P 0.8175 0.9889 0.4019  4 O 1.51-1.61
P 0.9148 0.3304 0.7072  4 O 1.52-1.63
P 0.9154 0.5805 0.2063  4 O 1.52-1.64
P 0.9164 0.0824 0.2073  4 O 1.52-1.64
P 0.9175 0.8327 0.7066  4 O 1.52-1.65
O 0.0655 0.7362 0.7072  1 P 1.52
O 0.0661 0.9864 0.2044  1 P 1.53
O 0.0667 0.4880 0.2058  1 P 1.52
O 0.0677 0.2386 0.7031  1 P 1.53
O 0.1765 0.1970 0.4058  1 P 1.52
O 0.1763 0.4489 0.9008  1 P 1.52
O 0.1759 0.6985 0.4009  1 P 1.51
O 0.1766 0.9469 0.9060  1 P 1.52
O 0.2841 0.8035 0.0408  2 P 1.61-1.63
O 0.2853 0.0528 0.5395  2 P 1.62
O 0.2857 0.5578 0.5403  2 P 1.60-1.63
O 0.2870 0.3064 0.0391  2 P 1.61-1.63
O 0.3150 0.2175 0.8594  1 P 1.51
O 0.3158 0.4674 0.3604  1 P 1.51
O 0.3193 0.9674 0.3577  1 P 1.52
O 0.3202 0.7175 0.8586  1 P 1.52
O 0.3267 0.2575 0.2182  1 P 1.51
O 0.3301 0.0063 0.7182  1 P 1.50
O 0.3359 0.5139 0.7213  1 P 1.52
O 0.3387 0.7619 0.2213  1 P 1.52
O 0.4674 0.3587 0.5888  1 P 1.54
O 0.4719 0.1088 0.0899  1 P 1.55
O 0.4729 0.6073 0.0869  1 P 1.54
O 0.4763 0.8575 0.5878  1 P 1.54
O 0.4839 0.4234 0.9219  1 P 1.56
O 0.4836 0.6738 0.4230  1 P 1.56
O 0.4874 0.1662 0.4236  1 P 1.54
O 0.4871 0.9168 0.9251  1 P 1.54
O 0.5715 0.1010 0.6152  1 P 1.55
O 0.5726 0.3507 0.1182  1 P 1.54
O 0.5726 0.8505 0.1166  1 P 1.55
O 0.5738 0.6004 0.6194  1 P 1.55
O 0.6732 0.1377 0.9283  1 P 1.53
O 0.6737 0.3875 0.4290  1 P 1.53
O 0.6758 0.6388 0.9243  1 P 1.54
O 0.6760 0.8886 0.4239  1 P 1.54
O 0.7804 0.0278 0.2872  2 P 1.61-1.64
O 0.7813 0.7793 0.7883  2 P 1.61-1.65
O 0.7835 0.2757 0.7888  2 P 1.61-1.63
O 0.7841 0.5271 0.2899  2 P 1.60-1.64
O 0.8010 0.6207 0.4674  1 P 1.55
O 0.8019 0.3708 0.9665  1 P 1.55
O 0.8085 0.8734 0.9678  1 P 1.55
O 0.8094 0.1229 0.4670  1 P 1.55
O 0.8137 0.5716 0.1091  1 P 1.53
O 0.8168 0.8240 0.6085  1 P 1.54
O 0.8204 0.3165 0.6065  1 P 1.54
O 0.8232 0.0697 0.1059  1 P 1.55
O 0.9534 0.4796 0.7335  1 P 1.52
O 0.9562 0.7297 0.2323  1 P 1.52
O 0.9589 0.2296 0.2364  1 P 1.52
O 0.9618 0.9799 0.7350  1 P 1.52
O 0.9832 0.1674 0.9105  1 P 1.52
O 0.9833 0.4176 0.4117  1 P 1.53
O 0.9874 0.6762 0.9092  1 P 1.51
O 0.9876 0.9260 0.4076  1 P 1.51

Summary:
magnetic moment: 0.2857 μB/atom
ΔE_f: -2.566 eV per atom

***

[3]
A relaxed structure of Li2VFeP4O14. Source: the Materials Project, functional PBE with a Hubbard U.

a b c (Å): 7.0381 9.5867 9.5870
angles (deg): 118.77 99.48 99.47
Closest atoms and distances in Å follow each position.
Atoms (fractional coordinates):
Li 0.0000 0.0000 0.0000  4 O 2.00-2.08
Li 0.9995 0.5003 0.5000  4 O 2.00-2.08
Li 0.6465 0.0742 0.5739  4 O 2.00-2.07
Li 0.6472 0.5738 0.0738  4 O 1.99-2.09
V 0.0521 0.2018 0.8379  6 O 1.99-2.08
V 0.5949 0.2361 0.3721  6 O 2.00-2.08
Fe 0.0554 0.7024 0.3383  6 O 1.98-2.08
Fe 0.5912 0.7358 0.8718  6 O 1.97-2.08
P 0.2378 0.0957 0.5164  4 O 1.52-1.63
P 0.2378 0.5961 0.0161  4 O 1.52-1.63
P 0.4091 0.0575 0.9783  4 O 1.52-1.63
P 0.4087 0.5582 0.4781  4 O 1.52-1.62
P 0.8017 0.3041 0.1206  4 O 1.53-1.62
P 0.8017 0.8031 0.6209  4 O 1.53-1.62
P 0.8445 0.4537 0.7708  4 O 1.53-1.62
P 0.8455 0.9529 0.2702  4 O 1.53-1.62
O 0.0769 0.0647 0.3545  2 P 1.62-1.63
O 0.0770 0.5647 0.8542  2 P 1.62-1.63
O 0.1748 0.2074 0.6675  1 P 1.52
O 0.1769 0.7075 0.1683  1 P 1.52
O 0.2072 0.5629 0.3933  1 P 1.53
O 0.2084 0.0608 0.8936  1 P 1.52
O 0.2389 0.9274 0.4976  1 P 1.54
O 0.2420 0.4290 0.9990  1 P 1.54
O 0.4062 0.0751 0.1459  1 P 1.54
O 0.4063 0.5764 0.6458  1 P 1.53
O 0.4385 0.1803 0.5133  1 P 1.52
O 0.4393 0.6808 0.0112  1 P 1.53
O 0.4704 0.4068 0.3662  1 P 1.52
O 0.4711 0.9054 0.8671  1 P 1.52
O 0.5700 0.2195 0.0093  2 P 1.62-1.63
O 0.5696 0.7199 0.5095  2 P 1.62
O 0.7183 0.0552 0.3709  1 P 1.54
O 0.7175 0.5561 0.8708  1 P 1.53
O 0.8056 0.4187 0.5931  1 P 1.53
O 0.8056 0.9184 0.0930  1 P 1.53
O 0.8152 0.7974 0.7795  1 P 1.54
O 0.8179 0.2985 0.2789  1 P 1.53
O 0.8293 0.2951 0.7756  1 P 1.53
O 0.8312 0.7946 0.2767  1 P 1.54
O 0.8413 0.4814 0.1551  1 P 1.53
O 0.8407 0.9807 0.6559  1 P 1.53
O 0.9287 0.2032 0.0181  1 P 1.54
O 0.9288 0.7031 0.5187  1 P 1.53

Summary:
magnetic moment: 0.3182 μB/atom
ΔE_f: -2.629 eV per atom

***

[4]
A relaxed structure of Li6VFe3P6O24. Source: the Materials Project, functional PBE with a Hubbard U.

a b c (Å): 8.5999 8.6298 8.6460
angles (deg): 61.54 61.42 61.37
Closest atoms and distances in Å follow each position.
Atoms (fractional coordinates):
Li 0.0000 0.0000 0.0000  2 O 2.11-2.13
Li 0.0911 0.9090 0.5007  4 O 2.10-2.30
Li 0.1884 0.4184 0.3908  2 O 2.09-2.14
Li 0.3657 0.7631 0.1503  3 O 2.06-2.19
Li 0.5837 0.6045 0.8110  3 O 2.12-2.35
Li 0.8149 0.2600 0.6461  3 O 2.04-2.17
V 0.9841 0.4040 0.7996  6 O 1.97-2.08
Fe 0.1937 0.6082 0.0048  6 O 1.95-2.10
Fe 0.4877 0.9025 0.2910  6 O 1.95-2.05
Fe 0.6950 0.1203 0.5072  6 O 1.95-2.08
P 0.0908 0.2105 0.2010  4 O 1.53-1.56
P 0.2984 0.0058 0.6920  4 O 1.52-1.58
P 0.3903 0.5093 0.6028  4 O 1.54-1.56
P 0.5898 0.2992 0.1126  4 O 1.52-1.58
P 0.7919 0.8078 0.9021  4 O 1.54-1.56
P 0.8858 0.7205 0.4031  4 O 1.53-1.57
O 0.0305 0.2456 0.0438  1 P 1.53
O 0.0745 0.6939 0.2374  1 P 1.57
O 0.1078 0.1684 0.7245  1 P 1.57
O 0.1490 0.3706 0.1686  1 P 1.55
O 0.2281 0.4530 0.6383  1 P 1.54
O 0.2486 0.0171 0.2224  1 P 1.56
O 0.2783 0.8438 0.8839  1 P 1.58
O 0.3110 0.9614 0.5330  1 P 1.54
O 0.3583 0.5643 0.7661  1 P 1.56
O 0.3901 0.6805 0.4212  1 P 1.56
O 0.4273 0.4927 0.0902  1 P 1.58
O 0.4692 0.0497 0.6492  1 P 1.52
O 0.5374 0.1383 0.1452  1 P 1.52
O 0.5797 0.3499 0.5830  1 P 1.54
O 0.6027 0.8274 0.0605  1 P 1.54
O 0.6442 0.2662 0.2723  1 P 1.52
O 0.7134 0.7623 0.3618  1 P 1.53
O 0.7484 0.3247 0.9185  1 P 1.57
O 0.7944 0.9879 0.7306  1 P 1.56
O 0.8250 0.6445 0.8470  1 P 1.56
O 0.8708 0.8778 0.4521  1 P 1.54
O 0.9092 0.5270 0.5611  1 P 1.57
O 0.9342 0.1881 0.3947  1 P 1.56
O 0.9545 0.7707 0.9615  1 P 1.56

Summary:
magnetic moment: 0.4250 μB/atom
ΔE_f: -2.517 eV per atom